1.
# K2GaSb2, optimized geometry, DFT PBE
data_K2GaSb2
_chemical_formula_sum 'K16 Ga8 Sb16'
_symmetry_space_group_name_H-M 'P n m a'
_symmetry_Int_Tables_number 62
_cell_length_a 15.2952
_cell_length_b 10.5501
_cell_length_c 9.2702
_cell_angle_alpha 90.00
_cell_angle_beta 90.00
_cell_angle_gamma 90.00
loop_
_symmetry_equiv_pos_as_xyz
'x,y,z'
'-x,-y,-z'
'-x+1/2,-y,z+1/2'
'x+1/2,y,-z+1/2'
'x+1/2,-y+1/2,-z+1/2'
'-x+1/2,y+1/2,z+1/2'
'-x,y+1/2,-z'
'x,-y+1/2,z'
loop_
_atom_site_label
_atom_site_type_symbol
_atom_site_fract_x
_atom_site_fract_y
_atom_site_fract_z
_atom_site_occupancy
K1 K 0.0148 0.0267 0.2297 1
K2 K 0.2342 0.5294 0.5887 1
Ga1 Ga 0.0949 0.2500 0.5840 1
Ga2 Ga 0.1789 0.7500 0.2762 1
Sb1 Sb 0.0689 0.7500 0.4978 1
Sb2 Sb 0.1283 0.7500 0.0052 1
Sb3 Sb 0.1522 0.2500 0.8489 1
Sb4 Sb 0.2030 0.2500 0.3654 1
# E, eV/atom: -3.122
# E_form, meV/atom: -497

2.
# Li3TaF6, optimized geometry, DFT PBE
data_Li3TaF6
_chemical_formula_sum 'Li12 Ta4 F24'
_symmetry_space_group_name_H-M 'F m -3 m'
_symmetry_Int_Tables_number 225
_symmetry_space_group_name_Hall '-F 4 2 3'
_cell_length_a 8.0741
_cell_length_b 8.0741
_cell_length_c 8.0741
_cell_angle_alpha 90.00
_cell_angle_beta 90.00
_cell_angle_gamma 90.00
loop_
_atom_site_label
_atom_site_type_symbol
_atom_site_fract_x
_atom_site_fract_y
_atom_site_fract_z
_atom_site_occupancy
Li1 Li 0.0000 0.0000 0.0000 1
Li2 Li 0.2500 0.2500 0.2500 1
Ta1 Ta 0.0000 0.0000 0.5000 1
F1 F 0.0000 0.0000 0.2449 1
# E, eV/atom: -5.368
# Energy above the lowest structure with this stoichiometry, eV per atom: 0.1697
# E_form, meV/atom: -2738

3.
# InSiIr, optimized geometry, DFT PBE
data_InSiIr
_chemical_formula_sum 'In4 Si4 Ir4'
_symmetry_space_group_name_H-M 'F -4 3 m'
_symmetry_Int_Tables_number 216
_symmetry_space_group_name_Hall 'F -4 2 3'
_cell_length_a 6.2137
_cell_length_b 6.2137
_cell_length_c 6.2137
_cell_angle_alpha 90.00
_cell_angle_beta 90.00
_cell_angle_gamma 90.00
loop_
_atom_site_label
_atom_site_type_symbol
_atom_site_fract_x
_atom_site_fract_y
_atom_site_fract_z
_atom_site_occupancy
In1 In 0.0000 0.0000 0.0000 1
Si1 Si 0.2500 0.2500 0.2500 1
Ir1 Ir 0.2500 0.2500 0.7500 1
# E, eV/atom: -4.990
# E_form, meV/atom: 682